Compound: Er2Ni3B6
Source: the Materials Project database
Functional: PBE
Structure: relaxed

a b c (Å): 5.768 5.768 3.458
angles (deg): 90.00 90.00 96.50
Sites, in units of the cell vectors:
Er: 0.275 0.725 0.000
Er: 0.725 0.275 0.000
Ni: 0.229 0.229 0.000
Ni: 0.771 0.771 0.000
Ni: 0.000 0.000 0.500
B: 0.612 0.612 0.500
B: 0.388 0.388 0.500
B: 0.615 0.916 0.500
B: 0.385 0.084 0.500
B: 0.916 0.615 0.500
B: 0.084 0.385 0.500

Properties
Calculated volume   10.39 Å³/atom
Space-group type   No. 65
VASP energy   -73.0 eV/cell
Crystal system   orthorhombic

***

Compound: Er2Ni21B6
Source: the Materials Project database
Functional: PBE
Structure: relaxed

a b c (Å): 7.522 7.522 7.522
angles (deg): 60.00 60.00 60.00
Sites, in units of the cell vectors:
Er: 0.750 0.750 0.750
Er: 0.250 0.250 0.250
Ni: 0.000 0.000 0.000
Ni: 0.612 0.612 0.163
Ni: 0.612 0.163 0.612
Ni: 0.163 0.612 0.612
Ni: 0.612 0.612 0.612
Ni: 0.388 0.388 0.837
Ni: 0.388 0.837 0.388
Ni: 0.837 0.388 0.388
Ni: 0.388 0.388 0.388
Ni: 0.000 0.000 0.337
Ni: 0.663 0.000 0.337
Ni: 0.000 0.663 0.337
Ni: 0.663 0.337 0.000
Ni: 0.000 0.337 0.000
Ni: 0.000 0.337 0.663
Ni: 0.337 0.663 0.000
Ni: 0.337 0.000 0.663
Ni: 0.337 0.000 0.000
Ni: 0.000 0.000 0.663
Ni: 0.000 0.663 0.000
Ni: 0.663 0.000 0.000
B: 0.730 0.730 0.270
B: 0.270 0.730 0.270
B: 0.730 0.270 0.270
B: 0.270 0.270 0.730
B: 0.730 0.270 0.730
B: 0.270 0.730 0.730

Properties
Calculated volume   10.38 Å³/atom
Space-group type   No. 225
VASP energy   -180.8 eV/cell
Crystal system   cubic

***

Compound: ErBO3
Source: the Materials Project database
Functional: PBE
Structure: relaxed

a b c (Å): 3.916 3.916 8.606
angles (deg): 90.00 90.00 117.34
Sites, in units of the cell vectors:
Er: 0.051 0.051 0.000
Er: 0.051 0.051 0.500
B: 0.760 0.502 0.750
B: 0.502 0.760 0.250
O: 0.675 0.334 0.897
O: 0.675 0.334 0.603
O: 0.962 0.896 0.750
O: 0.334 0.675 0.397
O: 0.334 0.675 0.103
O: 0.896 0.962 0.250

Properties
Calculated volume   11.72 Å³/atom
Space-group type   No. 40
VASP energy   -82.8 eV/cell
Crystal system   orthorhombic
Piezoelectric modulus e_max   1.76 C/m²

***

Question: The highest VASP energy belongs to which entry?
Answer: Er2Ni3B6